No. 1
The following is a r²SCAN calculation of a geometry-optimized Bi2SO2 structure, from Materials Project.

The structure in CIF format:
```
data_Bi2SO2
_space_group_name_H-M_alt 'P 1'
_space_group_IT_number 1
_space_group_name_Hall 'P 1'
_cell_length_a 3.8426
_cell_length_b 3.8773
_cell_length_c 11.9637
_cell_angle_alpha 90.00
_cell_angle_beta 90.00
_cell_angle_gamma 90.00
loop_
_atom_site_label
_atom_site_type_symbol
_atom_site_fract_x
_atom_site_fract_y
_atom_site_fract_z
Bi1 Bi 0.5000 0.4193 0.8561
Bi2 Bi 0.5000 0.5807 0.1439
Bi3 Bi 0.0000 0.9193 0.6439
Bi4 Bi 0.0000 0.0807 0.3561
S1 S 0.0000 0.0000 0.0000
S2 S 0.5000 0.5000 0.5000
O1 O 0.0000 0.4410 0.7491
O2 O 0.0000 0.5590 0.2509
O3 O 0.5000 0.9410 0.7509
O4 O 0.5000 0.0590 0.2491
```

- Calculated total energy: -28.467 eV/atom
- Space-group type: Pnnm (58)


No. 2
The following is a r²SCAN calculation of a geometry-optimized Bi2S6O21 structure, from Materials Project.

The structure in CIF format:
```
data_Bi2S6O21
_space_group_name_H-M_alt 'P 1'
_space_group_IT_number 1
_space_group_name_Hall 'P 1'
_cell_length_a 6.5852
_cell_length_b 10.2149
_cell_length_c 11.5268
_cell_angle_alpha 90.97
_cell_angle_beta 96.78
_cell_angle_gamma 94.71
loop_
_atom_site_label
_atom_site_type_symbol
_atom_site_fract_x
_atom_site_fract_y
_atom_site_fract_z
Bi1 Bi 0.8335 0.4134 0.7213
Bi2 Bi 0.1665 0.5866 0.2787
Bi3 Bi 0.4125 0.9058 0.7367
Bi4 Bi 0.5875 0.0942 0.2633
S1 S 0.3611 0.5540 0.7632
S2 S 0.6389 0.4460 0.2368
S3 S 0.4180 0.1879 0.5492
S4 S 0.5820 0.8121 0.4508
S5 S 0.7078 0.6708 0.9085
S6 S 0.2921 0.3292 0.0915
S7 S 0.9269 0.0704 0.7741
S8 S 0.0732 0.9296 0.2259
S9 S 0.6729 0.1682 0.9322
S10 S 0.3272 0.8318 0.0678
S11 S 0.0386 0.2978 0.4589
S12 S 0.9614 0.7022 0.5411
O1 O 0.6791 0.7771 0.8269
O2 O 0.3209 0.2229 0.1731
O3 O 0.2870 0.6781 0.7267
O4 O 0.7130 0.3219 0.2733
O5 O 0.3386 0.0581 0.5796
O6 O 0.6614 0.9419 0.4204
O7 O 0.8715 0.0897 0.9075
O8 O 0.1285 0.9103 0.0925
O9 O 0.4807 0.5782 0.8910
O10 O 0.5193 0.4218 0.1090
O11 O 0.7421 0.0087 0.7076
O12 O 0.2579 0.9913 0.2924
O13 O 0.8511 0.5812 0.8733
O14 O 0.1489 0.4188 0.1267
O15 O 0.9848 0.2001 0.7348
O16 O 0.0152 0.7999 0.2652
O17 O 0.2365 0.2820 0.5578
O18 O 0.7635 0.7180 0.4422
O19 O 0.7072 0.2980 0.8854
O20 O 0.2928 0.7020 0.1146
O21 O 0.4688 0.1963 0.4311
O22 O 0.5312 0.8037 0.5689
O23 O 0.1962 0.4567 0.7791
O24 O 0.8038 0.5433 0.2209
O25 O 0.5731 0.2474 0.6366
O26 O 0.4269 0.7526 0.3634
O27 O 0.5072 0.5080 0.6905
O28 O 0.4928 0.4920 0.3095
O29 O 0.0918 0.9876 0.7919
O30 O 0.9082 0.0124 0.2081
O31 O 0.6845 0.1682 0.0565
O32 O 0.3155 0.8318 0.9435
O33 O 0.7311 0.7062 0.0284
O34 O 0.2688 0.2938 0.9716
O35 O 0.9161 0.3727 0.5280
O36 O 0.0839 0.6273 0.4720
O37 O 0.9523 0.1687 0.4229
O38 O 0.0477 0.8313 0.5771
O39 O 0.1247 0.3745 0.3697
O40 O 0.8753 0.6255 0.6303
O41 O 0.4975 0.0900 0.8712
O42 O 0.5025 0.9100 0.1288
```

- Calculated total energy: -11.407 eV/atom
- Space-group type: P-1 (2)


Number 1: DFT formation energy -1.070 eV per atom. Number 2: DFT formation energy -1.385 eV per atom.